MgAl2H4Pb2O4F6: relaxed, PBE.

Summary:
For the formation energy, the calculation gives -2.4134 eV per atom. Its offset from the most stable computed form is 0.0000 eV per atom.

Unit cell a=5.317 b=6.219 c=7.698 alpha=67.55 beta=89.58 gamma=79.42
Space group P-1 (No. 2)
One atom of each set of equivalent atoms:
Mg (0.000, 0.000, 0.000) (multiplicity 1)
Al (0.178, 0.313, 0.161) (multiplicity 2)
H (0.127, 0.761, 0.599) (multiplicity 2)
H (0.291, 0.674, 0.952) (multiplicity 2)
Pb (0.337, 0.303, 0.623) (multiplicity 2)
O (0.015, 0.646, 0.648) (multiplicity 2)
O (0.128, 0.655, 0.013) (multiplicity 2)
F (0.167, 0.988, 0.236) (multiplicity 2)
F (0.373, 0.272, 0.976) (multiplicity 2)
F (0.470, 0.256, 0.299) (multiplicity 2)